First-principles (PBE with a Hubbard U) data for La2WO6 after structural relaxation, as listed in the Materials Project database.

abc: 7.560 10.536 12.899
angles: 90.00 90.00 90.00
Space group P2_12_12_1 (No. 19)
Symmetry-distinct sites (fractional):
La  0.020  0.225  0.415 [4 per cell]
La  0.068  0.084  0.916 [4 per cell]
La  0.238  0.044  0.175 [4 per cell]
La  0.238  0.553  0.366 [4 per cell]
W  0.035  0.378  0.130 [4 per cell]
W  0.057  0.728  0.817 [4 per cell]
O  0.003  0.293  0.818 [4 per cell]
O  0.023  0.555  0.769 [4 per cell]
O  0.028  0.201  0.082 [4 per cell]
O  0.029  0.943  0.072 [4 per cell]
O  0.051  0.546  0.205 [4 per cell]
O  0.102  0.945  0.484 [4 per cell]
O  0.149  0.247  0.610 [4 per cell]
O  0.176  0.656  0.937 [4 per cell]
O  0.177  0.305  0.251 [4 per cell]
O  0.179  0.884  0.851 [4 per cell]
O  0.181  0.853  0.294 [4 per cell]
O  0.248  0.591  0.553 [4 per cell]

## Properties
V: 1027.5 Å³/cell
E_tot: -8.16 eV/atom
Spin magnetization: 0.00 μB per formula unit